# 1
# K2RbAsBr6

A relaxed structure of K2RbAsBr6 (PBE, Materials Project).

abc: 8.3279 8.3279 8.3279
angles: 60.00 60.00 60.00
Element x y z (fractional)
K 0.2500 0.2500 0.2500
K 0.7500 0.7500 0.7500
Rb 0.0000 0.0000 0.0000
As 0.5000 0.5000 0.5000
Br 0.2741 0.2741 0.7259
Br 0.2741 0.7259 0.2741
Br 0.2741 0.7259 0.7259
Br 0.7259 0.2741 0.2741
Br 0.7259 0.2741 0.7259
Br 0.7259 0.7259 0.2741

Computed properties:
* space-group type: Fm-3m
* electronic total energy: -2.923 eV/atom
* total magnetic moment: 0.015 Bohr magnetons per cell

---

# 2
# Na2MgCl4

A relaxed structure of Na2MgCl4 (PBE, Materials Project).

abc: 6.9819 12.0017 3.8490
angles: 90.00 90.00 90.00
Element x y z (fractional)
Na 0.0873 0.1820 0.0000
Na 0.4127 0.6820 0.0000
Na 0.5873 0.3180 0.0000
Na 0.9127 0.8180 0.0000
Mg 0.0000 0.5000 0.5000
Mg 0.5000 0.0000 0.5000
Cl 0.1189 0.6954 0.5000
Cl 0.2353 0.4571 0.0000
Cl 0.2647 0.9571 0.0000
Cl 0.3811 0.1954 0.5000
Cl 0.6189 0.8046 0.5000
Cl 0.7353 0.0429 0.0000
Cl 0.7647 0.5429 0.0000
Cl 0.8811 0.3046 0.5000

Computed properties:
* space-group type: Pbam
* electronic total energy: -3.480 eV/atom

---

# 3
# SmSi2

A relaxed structure of SmSi2 (PBE, Materials Project).

abc: 7.7652 7.7652 7.7652
angles: 149.38 149.38 43.86
Element x y z (fractional)
Sm 0.3750 0.6250 0.7500
Sm 0.6250 0.3750 0.2500
Si 0.0418 0.7918 0.2500
Si 0.2082 0.9582 0.2500
Si 0.7918 0.0418 0.7500
Si 0.9582 0.2082 0.7500

Computed properties:
* space-group type: I4_1/amd
* electronic total energy: -5.783 eV/atom

---

# 4
# BaV2N4

A relaxed structure of BaV2N4 (PBE, Materials Project).

abc: 10.9361 10.9361 10.9361
angles: 90.00 90.00 90.00
Element x y z (fractional)
Ba 0.0000 0.0000 0.0000
Ba 0.0000 0.5000 0.5000
Ba 0.1253 0.6253 0.8747
Ba 0.1253 0.8747 0.3747
Ba 0.3747 0.1253 0.8747
Ba 0.3747 0.3747 0.3747
Ba 0.5000 0.0000 0.5000
Ba 0.5000 0.5000 0.0000
Ba 0.6253 0.6253 0.6253
Ba 0.6253 0.8747 0.1253
Ba 0.8747 0.1253 0.6253
Ba 0.8747 0.3747 0.1253
V 0.1130 0.1935 0.3444
V 0.1130 0.3065 0.8444
V 0.1556 0.6130 0.1935
V 0.1556 0.8870 0.6935
V 0.1935 0.1556 0.6130
V 0.1935 0.3444 0.1130
V 0.3065 0.6556 0.6130
V 0.3065 0.8444 0.1130
V 0.3444 0.1130 0.1935
V 0.3444 0.3870 0.6935
V 0.3870 0.6935 0.3444
V 0.3870 0.8065 0.8444
V 0.6130 0.1935 0.1556
V 0.6130 0.3065 0.6556
V 0.6556 0.6130 0.3065
V 0.6556 0.8870 0.8065
V 0.6935 0.1556 0.8870
V 0.6935 0.3444 0.3870
V 0.8065 0.6556 0.8870
V 0.8065 0.8444 0.3870
V 0.8444 0.1130 0.3065
V 0.8444 0.3870 0.8065
V 0.8870 0.6935 0.1556
V 0.8870 0.8065 0.6556
N 0.0061 0.0864 0.2764
N 0.0061 0.4136 0.7764
N 0.0864 0.2236 0.5061
N 0.0864 0.2764 0.0061
N 0.1212 0.1618 0.7612
N 0.1212 0.3382 0.2612
N 0.1618 0.7388 0.6212
N 0.1618 0.7612 0.1212
N 0.2236 0.5061 0.0864
N 0.2236 0.9939 0.5864
N 0.2388 0.6212 0.3382
N 0.2388 0.8788 0.8382
N 0.2612 0.1212 0.3382
N 0.2612 0.3788 0.8382
N 0.2764 0.0061 0.0864
N 0.2764 0.4939 0.5864
N 0.3382 0.2388 0.6212
N 0.3382 0.2612 0.1212
N 0.3788 0.6618 0.7612
N 0.3788 0.8382 0.2612
N 0.4136 0.7236 0.5061
N 0.4136 0.7764 0.0061
N 0.4939 0.5864 0.2764
N 0.4939 0.9136 0.7764
N 0.5061 0.0864 0.2236
N 0.5061 0.4136 0.7236
N 0.5864 0.2236 0.9939
N 0.5864 0.2764 0.4939
N 0.6212 0.1618 0.7388
N 0.6212 0.3382 0.2388
N 0.6618 0.7388 0.8788
N 0.6618 0.7612 0.3788
N 0.7236 0.5061 0.4136
N 0.7236 0.9939 0.9136
N 0.7388 0.6212 0.1618
N 0.7388 0.8788 0.6618
N 0.7612 0.1212 0.1618
N 0.7612 0.3788 0.6618
N 0.7764 0.0061 0.4136
N 0.7764 0.4939 0.9136
N 0.8382 0.2388 0.8788
N 0.8382 0.2612 0.3788
N 0.8788 0.6618 0.7388
N 0.8788 0.8382 0.2388
N 0.9136 0.7236 0.9939
N 0.9136 0.7764 0.4939
N 0.9939 0.5864 0.2236
N 0.9939 0.9136 0.7236

Computed properties:
* space-group type: Pa-3
* electronic total energy: -8.542 eV/atom
* total magnetic moment: 0.000 Bohr magnetons per cell

---

# 5
# Cu2Te2Cl2O5

A relaxed structure of Cu2Te2Cl2O5 (PBE, Materials Project).

abc: 7.7524 7.7524 6.3919
angles: 90.00 90.00 90.00
Element x y z (fractional)
Cu 0.0444 0.7679 0.3447
Cu 0.2321 0.0444 0.6553
Cu 0.7679 0.9556 0.6553
Cu 0.9556 0.2321 0.3447
Te 0.1469 0.6735 0.8616
Te 0.3265 0.1469 0.1384
Te 0.6735 0.8531 0.1384
Te 0.8531 0.3265 0.8616
Cl 0.2751 0.5967 0.3046
Cl 0.4033 0.2751 0.6954
Cl 0.5967 0.7249 0.6954
Cl 0.7249 0.4033 0.3046
O 0.0000 0.5000 0.7224
O 0.0322 0.2699 0.0560
O 0.0861 0.8318 0.6391
O 0.1682 0.0861 0.3609
O 0.2699 0.9678 0.9440
O 0.5000 0.0000 0.2776
O 0.7301 0.0322 0.9440
O 0.8318 0.9139 0.3609
O 0.9139 0.1682 0.6391
O 0.9678 0.7301 0.0560

Computed properties:
* space-group type: P-4
* electronic total energy: -4.706 eV/atom
* total magnetic moment: 4.000 Bohr magnetons per cell

---

# 6
# Mg16Al12I

A relaxed structure of Mg16Al12I (PBE, Materials Project).

abc: 9.2101 9.2101 9.2101
angles: 109.47 109.47 109.47
Element x y z (fractional)
Mg 0.0000 0.0000 0.6632
Mg 0.0000 0.4055 0.6871
Mg 0.0000 0.6632 0.0000
Mg 0.0000 0.6871 0.4055
Mg 0.2815 0.5945 0.5945
Mg 0.3129 0.3129 0.7185
Mg 0.3129 0.7185 0.3129
Mg 0.3368 0.3368 0.3368
Mg 0.4055 0.0000 0.6871
Mg 0.4055 0.6871 0.0000
Mg 0.5945 0.2815 0.5945
Mg 0.5945 0.5945 0.2815
Mg 0.6632 0.0000 0.0000
Mg 0.6871 0.0000 0.4055
Mg 0.6871 0.4055 0.0000
Mg 0.7185 0.3129 0.3129
Al 0.0000 0.1886 0.3772
Al 0.0000 0.3772 0.1886
Al 0.1886 0.0000 0.3772
Al 0.1886 0.3772 0.0000
Al 0.1885 0.8114 0.8114
Al 0.3772 0.0000 0.1886
Al 0.3772 0.1886 0.0000
Al 0.6228 0.6228 0.8115
Al 0.6228 0.8115 0.6228
Al 0.8114 0.1885 0.8114
Al 0.8115 0.6228 0.6228
Al 0.8114 0.8114 0.1885
I 0.0000 0.0000 0.0000

Computed properties:
* space-group type: I-43m
* energy relative to the lowest polymorph listed for this composition: 0.0138 eV/atom
* total magnetic moment: 0.016 Bohr magnetons per cell

---

# 7
# NaP2H5CO6

A relaxed structure of NaP2H5CO6 (PBE, Materials Project).

abc: 8.4054 8.2198 12.2434
angles: 90.00 125.98 90.00
Element x y z (fractional)
Na 0.0000 0.0000 0.0000
Na 0.0000 0.5000 0.5000
Na 0.5000 0.0000 0.5000
Na 0.5000 0.5000 0.0000
P 0.0218 0.1330 0.3268
P 0.0218 0.3670 0.8268
P 0.3978 0.7380 0.2475
P 0.3978 0.7620 0.7475
P 0.6022 0.2380 0.2525
P 0.6022 0.2620 0.7525
P 0.9782 0.6330 0.1732
P 0.9782 0.8670 0.6732
H 0.0776 0.6902 0.8376
H 0.0776 0.8098 0.3376
H 0.1678 0.5387 0.1014
H 0.1678 0.9612 0.6014
H 0.2789 0.2361 0.0081
H 0.2789 0.2639 0.5081
H 0.2800 0.0117 0.7737
H 0.2800 0.4883 0.2737
H 0.4074 0.0462 0.2401
H 0.4074 0.4538 0.7401
H 0.5926 0.5462 0.2599
H 0.5926 0.9538 0.7599
H 0.7200 0.5117 0.7263
H 0.7200 0.9883 0.2263
H 0.7211 0.7361 0.4919
H 0.7211 0.7639 0.9919
H 0.8322 0.0388 0.3986
H 0.8322 0.4612 0.8986
H 0.9224 0.1902 0.6624
H 0.9224 0.3098 0.1624
C 0.2077 0.5866 0.1985
C 0.2077 0.9134 0.6985
C 0.7923 0.0866 0.3015
C 0.7923 0.4134 0.8015
O 0.0235 0.6921 0.3113
O 0.0235 0.8079 0.8113
O 0.1198 0.2244 0.9321
O 0.1198 0.2756 0.4321
O 0.1506 0.5168 0.8753
O 0.1506 0.9832 0.3753
O 0.3059 0.6075 0.6654
O 0.3059 0.8925 0.1654
O 0.4757 0.1526 0.2945
O 0.4759 0.2362 0.5997
O 0.4759 0.2638 0.0997
O 0.4757 0.3474 0.7945
O 0.5243 0.6526 0.2055
O 0.5241 0.7362 0.9003
O 0.5241 0.7638 0.4003
O 0.5243 0.8474 0.7055
O 0.6941 0.1075 0.8346
O 0.6941 0.3925 0.3346
O 0.8494 0.0168 0.6247
O 0.8494 0.4832 0.1247
O 0.8802 0.7244 0.5679
O 0.8802 0.7756 0.0679
O 0.9765 0.1921 0.1887
O 0.9765 0.3079 0.6887

Computed properties:
* space-group type: P2_1/c
* electronic total energy: -5.942 eV/atom
* total magnetic moment: 0.001 Bohr magnetons per cell

---

# 8
# Cd2FeC6N6

A relaxed structure of Cd2FeC6N6 (PBE, Materials Project).

abc: 6.3820 6.3820 6.3775
angles: 90.00 90.00 120.00
Element x y z (fractional)
Cd 0.3333 0.6667 0.0000
Cd 0.6667 0.3333 0.0000
Fe 0.0000 0.0000 0.5000
C 0.0000 0.2333 0.6766
C 0.0000 0.7667 0.3234
C 0.2333 0.0000 0.6766
C 0.2333 0.2333 0.3234
C 0.7667 0.0000 0.3234
C 0.7667 0.7667 0.6766
N 0.0000 0.3734 0.7987
N 0.0000 0.6266 0.2013
N 0.3734 0.0000 0.7987
N 0.3734 0.3734 0.2013
N 0.6266 0.0000 0.2013
N 0.6266 0.6266 0.7987

Computed properties:
* space-group type: P-31m
* electronic total energy: -7.507 eV/atom
* total magnetic moment: 0.000 Bohr magnetons per cell

---

# 9
# NbZn2

A relaxed structure of NbZn2 (PBE, Materials Project).

abc: 5.0706 5.0706 16.3721
angles: 90.00 90.00 120.00
Element x y z (fractional)
Nb 0.0000 0.0000 0.0908
Nb 0.0000 0.0000 0.4092
Nb 0.0000 0.0000 0.5908
Nb 0.0000 0.0000 0.9092
Nb 0.3333 0.6667 0.1567
Nb 0.3333 0.6667 0.3433
Nb 0.6667 0.3333 0.6567
Nb 0.6667 0.3333 0.8433
Zn 0.0000 0.5000 0.0000
Zn 0.0000 0.5000 0.5000
Zn 0.1605 0.3210 0.7500
Zn 0.1605 0.8395 0.7500
Zn 0.3210 0.1605 0.2500
Zn 0.3333 0.6667 0.6268
Zn 0.3333 0.6667 0.8732
Zn 0.5000 0.0000 0.0000
Zn 0.5000 0.0000 0.5000
Zn 0.5000 0.5000 0.0000
Zn 0.5000 0.5000 0.5000
Zn 0.6667 0.3333 0.1268
Zn 0.6667 0.3333 0.3732
Zn 0.6790 0.8395 0.7500
Zn 0.8395 0.1605 0.2500
Zn 0.8395 0.6790 0.2500

Computed properties:
* space-group type: P6_3/mmc
* electronic total energy: -4.369 eV/atom